# SrCaEuSbO6

A relaxed structure of SrCaEuSbO6 (PBE, Materials Project).

a b c (Å): 5.8165 5.8165 8.4627
angles (deg): 90.00 90.00 90.00
Last column: nearest neighbours and their distance in Å.
Fractional positions:
Sr  0.0000  0.5000  0.2500  8 O 2.65-2.91
Sr  0.5000  0.0000  0.7500  8 O 2.65-2.91
Ca  0.0000  0.0000  0.0000  6 O 2.23-2.30
Ca  0.5000  0.5000  0.5000  6 O 2.23-2.30
Eu  0.0000  0.5000  0.7500  4 O 2.47
Eu  0.5000  0.0000  0.2500  4 O 2.47
Sb  0.0000  0.0000  0.5000  6 O 2.00-2.01
Sb  0.5000  0.5000  0.0000  6 O 2.00-2.01
O  0.0000  0.0000  0.2637  1 Sb 2.00, 1 Ca 2.23
O  0.0000  0.0000  0.7363  1 Sb 2.00, 1 Ca 2.23
O  0.1558  0.3076  0.5131  1 Sb 2.01
O  0.1924  0.3442  0.9869  1 Sb 2.01
O  0.3076  0.8442  0.4869  1 Sb 2.01
O  0.3442  0.8076  0.0131  1 Sb 2.01
O  0.5000  0.5000  0.2363  1 Sb 2.00, 1 Ca 2.23
O  0.5000  0.5000  0.7637  1 Sb 2.00, 1 Ca 2.23
O  0.6558  0.1924  0.0131  1 Sb 2.01
O  0.6924  0.1558  0.4869  1 Sb 2.01
O  0.8076  0.6558  0.9869  1 Sb 2.01
O  0.8442  0.6924  0.5131  1 Sb 2.01

Output
As for the corrected total energy (MP2020 scheme): -7.60 eV/atom. As for the polymorph energy (0 for the lowest one): 0 meV per atom. Its total energy is -7.191 eV/atom. As for the symmetry: P-4n2, No. 118. The energy relative to the elements comes out at -2.8259 eV per atom.